{
  "formula": "TiNi",
  "functional": "GGA-PBE",
  "state": "optimized geometry",
  "lattice": [[2.7999, 0.0000, 0.0000], [-0.0013, 4.1711, 0.0000], [-0.4519, -0.0091, 4.6491]],
  "species": ["Ti", "Ti", "Ni", "Ni"],
  "fractional_positions": [[0.0646, 0.2496, 0.2883], [0.9354, 0.7504, 0.7117], [0.4790, 0.2505, 0.8220], [0.5210, 0.7495, 0.1780]],
  "formation_energy_mev_per_atom": -385.8,
  "vol_a3_per_atom": 13.574,
  "total_energy_ev_per_atom": -7.224,
  "rho_kg_m3": 6518,
  "spacegroup": "No. 2"
}



{
  "formula": "TiNi",
  "functional": "GGA-PBE",
  "state": "optimized geometry",
  "lattice": [[2.9932, 0.0000, 0.0000], [0.0000, 2.9932, 0.0000], [0.0000, 0.0000, 2.9932]],
  "species": ["Ti", "Ni"],
  "fractional_positions": [[0.0000, 0.0000, 0.0000], [0.5000, 0.5000, 0.5000]],
  "formation_energy_mev_per_atom": -347.4,
  "vol_a3_per_atom": 13.409,
  "total_energy_ev_per_atom": -7.185,
  "rho_kg_m3": 6598,
  "spacegroup": "No. 221"
}



{
  "formula": "TiNi",
  "functional": "GGA-PBE",
  "state": "optimized geometry",
  "lattice": [[2.7398, 0.0000, 0.0000], [0.4056, 4.6728, 0.0000], [0.0212, -0.0005, 12.7930]],
  "species": ["Ti", "Ti", "Ti", "Ti", "Ti", "Ti", "Ni", "Ni", "Ni", "Ni", "Ni", "Ni"],
  "fractional_positions": [[0.0210, 0.2242, 0.2512], [0.0779, 0.2027, 0.9176], [0.0937, 0.1949, 0.5851], [0.9063, 0.8051, 0.4149], [0.9221, 0.7973, 0.0824], [0.9790, 0.7758, 0.7488], [0.4462, 0.6893, 0.2476], [0.4884, 0.3339, 0.4177], [0.4928, 0.3272, 0.0848], [0.5072, 0.6728, 0.9152], [0.5116, 0.6661, 0.5823], [0.5538, 0.3107, 0.7524]],
  "formation_energy_mev_per_atom": -376.9,
  "vol_a3_per_atom": 13.649,
  "total_energy_ev_per_atom": -7.215,
  "rho_kg_m3": 6482,
  "spacegroup": "No. 2"
}



Question: Number 2 is which compound?
Answer: TiNi



Question: Which formula does entry 2 have?
Answer: TiNi



Question: Which formula does entry 1 have?
Answer: TiNi